Entry 1:
A relaxed structure of Na4Mg3SnP2S4O24, computed with PBE-GGA.

The structure in POSCAR format:
```
Na4Mg3SnP2S4O24
1.0
8.7884 0.0000 0.0000
4.3761 7.6394 0.0000
0.1664 0.1234 22.5153
Na Mg Sn P S O
12 9 3 6 12 72
Direct
0.0000 0.0000 0.0000 Na
0.0050 0.3776 0.2461 Na
0.0156 0.0044 0.5002 Na
0.0365 0.3212 0.9058 Na
0.2966 0.6811 0.9138 Na
0.3361 0.3437 0.8273 Na
0.3485 0.3367 0.3349 Na
0.3689 0.6476 0.2425 Na
0.6649 0.6910 0.1608 Na
0.6697 0.6730 0.6714 Na
0.7060 0.9888 0.5843 Na
0.9780 0.3396 0.5872 Na
0.0027 0.0138 0.3496 Mg
0.0090 0.0062 0.1421 Mg
0.0116 0.0133 0.6474 Mg
0.3371 0.3543 0.9825 Mg
0.3377 0.3498 0.4810 Mg
0.3483 0.3456 0.1749 Mg
0.6707 0.6884 0.3150 Mg
0.6870 0.6739 0.8082 Mg
0.9988 0.0129 0.8422 Mg
0.3317 0.3487 0.6809 Sn
0.6661 0.6806 0.5148 Sn
0.6721 0.6837 0.0152 Sn
0.0034 0.3079 0.7467 P
0.0478 0.6438 0.5771 P
0.3360 0.0556 0.5779 P
0.3376 0.6452 0.0796 P
0.6285 0.3454 0.5788 P
0.9645 0.6825 0.9128 P
0.0026 0.7231 0.2472 S
0.0452 0.3447 0.0808 S
0.2968 0.0152 0.2470 S
0.3007 0.7201 0.7477 S
0.3752 0.6802 0.4107 S
0.3797 0.9756 0.9119 S
0.6311 0.0564 0.0798 S
0.6714 0.3860 0.9127 S
0.6710 0.9771 0.4123 S
0.7099 0.0151 0.7457 S
0.7139 0.3029 0.2472 S
0.9682 0.3842 0.4114 S
0.0142 0.8288 0.5866 O
0.0200 0.1927 0.0871 O
0.0323 0.2009 0.8043 O
0.0343 0.8015 0.3000 O
0.1172 0.5239 0.6338 O
0.1242 0.3716 0.1349 O
0.1405 0.3716 0.4176 O
0.1477 0.3238 0.0266 O
0.1478 0.5138 0.9204 O
0.1557 0.5588 0.5226 O
0.1625 0.5419 0.2416 O
0.1758 0.0350 0.5867 O
0.1782 0.3241 0.7436 O
0.1778 0.8287 0.0851 O
0.1862 0.0455 0.3005 O
0.1971 0.7930 0.8028 O
0.2014 0.9943 0.9079 O
0.2016 0.8386 0.4062 O
0.2157 0.8228 0.6948 O
0.2167 0.9845 0.1946 O
0.3069 0.1696 0.5238 O
0.3140 0.1750 0.2398 O
0.3193 0.5384 0.7432 O
0.3207 0.5595 0.0233 O
0.3604 0.1501 0.9207 O
0.3629 0.5208 0.4180 O
0.3699 0.5372 0.1372 O
0.3857 0.1272 0.6340 O
0.4519 0.8621 0.9676 O
0.4554 0.7124 0.4654 O
0.4731 0.8548 0.2541 O
0.4765 0.7010 0.7536 O
0.4845 0.6570 0.3577 O
0.4900 0.8887 0.8607 O
0.5101 0.8713 0.5732 O
0.5125 0.1492 0.4186 O
0.5131 0.6601 0.0751 O
0.5138 0.3694 0.9214 O
0.5152 0.3839 0.6362 O
0.5242 0.1311 0.1336 O
0.5312 0.1809 0.7421 O
0.5330 0.3290 0.2419 O
0.5464 0.3161 0.5248 O
0.5486 0.1561 0.0260 O
0.6372 0.5041 0.8620 O
0.6475 0.8875 0.3619 O
0.6500 0.8740 0.0766 O
0.6555 0.5104 0.5741 O
0.6838 0.8627 0.7521 O
0.6938 0.4845 0.2529 O
0.7021 0.8690 0.4693 O
0.7091 0.4613 0.9680 O
0.7908 0.0404 0.7984 O
0.7949 0.1990 0.3010 O
0.8069 0.0365 0.0859 O
0.8104 0.9929 0.6907 O
0.8131 0.1860 0.5865 O
0.8242 0.2245 0.1945 O
0.8315 0.2137 0.9068 O
0.8307 0.9911 0.4070 O
0.8426 0.4918 0.7507 O
0.8481 0.6959 0.2542 O
0.8530 0.7159 0.9722 O
0.8579 0.4639 0.4673 O
0.8580 0.6580 0.5727 O
0.8662 0.5100 0.0766 O
0.8744 0.6474 0.8621 O
0.8809 0.4944 0.3589 O
0.9777 0.8281 0.1940 O
0.9824 0.2108 0.4071 O
0.9881 0.2224 0.6900 O
0.9915 0.8420 0.9075 O
```

## Properties
* total energy: -704.52 eV per cell
* symmetry: P1 (1)



Entry 2:
A relaxed structure of Na2MgSnP2SO12, computed with PBE-GGA.

The structure in POSCAR format:
```
Na2MgSnP2SO12
1.0
-4.0925 4.6955 -6.3272
-4.2666 -2.1153 7.4193
7.2925 19.0961 9.4547
Na Mg Sn P S O
12 6 6 12 6 72
Direct
0.9972 0.6321 0.2460 Na
0.6349 0.6321 0.7460 Na
0.6638 0.9655 0.5794 Na
0.3016 0.9655 0.0794 Na
0.3305 0.2988 0.9127 Na
0.9683 0.2988 0.4127 Na
0.9972 0.9808 0.4954 Na
0.9836 0.9808 0.9954 Na
0.6639 0.3141 0.8288 Na
0.6503 0.3141 0.3288 Na
0.3305 0.6474 0.1621 Na
0.3169 0.6474 0.6621 Na
0.0010 0.9970 0.3521 Mg
0.9959 0.9970 0.8521 Mg
0.6677 0.3303 0.6854 Mg
0.6626 0.3303 0.1854 Mg
0.3344 0.6636 0.0188 Mg
0.3293 0.6636 0.5188 Mg
0.9994 0.0070 0.6505 Sn
0.0077 0.0070 0.1505 Sn
0.6660 0.3404 0.9838 Sn
0.6743 0.3404 0.4838 Sn
0.3327 0.6737 0.3172 Sn
0.3410 0.6737 0.8172 Sn
0.2977 0.0053 0.2518 P
0.9986 0.2936 0.2538 P
0.2950 0.2936 0.7538 P
0.7076 0.0053 0.7518 P
0.9644 0.3386 0.5851 P
0.6652 0.6269 0.5872 P
0.9617 0.6269 0.0872 P
0.3742 0.3386 0.0851 P
0.6311 0.6720 0.9184 P
0.3319 0.9602 0.9205 P
0.6283 0.9602 0.4205 P
0.0409 0.6720 0.4184 P
0.7051 0.7086 0.2510 S
0.0035 0.7086 0.7510 S
0.3718 0.0419 0.5844 S
0.6702 0.0419 0.0844 S
0.0385 0.3753 0.9177 S
0.3368 0.3753 0.4177 S
0.2003 0.0200 0.3042 O
0.8146 0.7940 0.3026 O
0.9787 0.1878 0.3091 O
0.2091 0.1878 0.8091 O
0.9794 0.7940 0.8026 O
0.8197 0.0200 0.8042 O
0.7748 0.9555 0.6926 O
0.1836 0.2139 0.6957 O
0.0374 0.8160 0.6952 O
0.7785 0.8160 0.1952 O
0.0303 0.2139 0.1957 O
0.1807 0.9555 0.1926 O
0.8670 0.3533 0.6376 O
0.4812 0.1273 0.6359 O
0.6453 0.5212 0.6425 O
0.8758 0.5212 0.1425 O
0.6461 0.1273 0.1359 O
0.4863 0.3533 0.1376 O
0.4414 0.2888 0.0260 O
0.8503 0.5473 0.0290 O
0.7041 0.1493 0.0286 O
0.4452 0.1493 0.5286 O
0.6970 0.5473 0.5290 O
0.8474 0.2888 0.5260 O
0.5337 0.6867 0.9709 O
0.1479 0.4607 0.9692 O
0.3120 0.8545 0.9758 O
0.5425 0.8545 0.4758 O
0.3128 0.4607 0.4692 O
0.1530 0.6867 0.4709 O
0.1081 0.6221 0.3593 O
0.5169 0.8806 0.3624 O
0.3708 0.4826 0.3619 O
0.1119 0.4826 0.8619 O
0.3637 0.8806 0.8624 O
0.5140 0.6221 0.8593 O
0.0187 0.8296 0.4104 O
0.8134 0.9921 0.4124 O
0.1786 0.2020 0.4104 O
0.0233 0.2020 0.9104 O
0.1787 0.9921 0.9124 O
0.8109 0.8296 0.9104 O
0.9741 0.1622 0.5880 O
0.1933 0.0210 0.5891 O
0.8383 0.8163 0.5894 O
0.9780 0.8163 0.0894 O
0.8277 0.0210 0.0891 O
0.1881 0.1622 0.0880 O
0.6854 0.1629 0.7437 O
0.4801 0.3254 0.7458 O
0.8453 0.5353 0.7437 O
0.6900 0.5353 0.2437 O
0.8454 0.3254 0.2458 O
0.4776 0.1629 0.2437 O
0.6408 0.4955 0.9213 O
0.8599 0.3543 0.9225 O
0.5050 0.1496 0.9228 O
0.6447 0.1496 0.4228 O
0.4944 0.3543 0.4225 O
0.8548 0.4955 0.4213 O
0.3520 0.4963 0.0770 O
0.1467 0.6588 0.0791 O
0.5119 0.8686 0.0771 O
0.3567 0.8686 0.5771 O
0.5120 0.6588 0.5791 O
0.1443 0.4963 0.5770 O
0.3074 0.8289 0.2547 O
0.5266 0.6876 0.2558 O
0.1716 0.4830 0.2561 O
0.3113 0.4830 0.7561 O
0.1611 0.6876 0.7558 O
0.5214 0.8289 0.7547 O
```

## Properties
* total energy: -728.05 eV per cell



Entry 3:
A relaxed structure of Na3MgSn3P5SO24, computed with PBE-GGA.

The structure in POSCAR format:
```
Na3MgSn3P5SO24
1.0
8.7616 0.0000 0.0000
4.3766 7.6012 0.0000
0.1217 0.0930 22.7074
Na Mg Sn P S O
9 3 9 15 3 72
Direct
0.0000 0.0000 0.0000 Na
0.0023 0.9870 0.4990 Na
0.0302 0.6645 0.9165 Na
0.3281 0.3228 0.3381 Na
0.3357 0.3124 0.8369 Na
0.6415 0.3467 0.2572 Na
0.6651 0.6724 0.6666 Na
0.6674 0.6651 0.1702 Na
0.6977 0.3295 0.5817 Na
0.0085 0.9897 0.8578 Mg
0.6671 0.6570 0.5243 Mg
0.9951 0.9939 0.3555 Mg
0.0021 0.9862 0.1533 Sn
0.0110 0.9774 0.6536 Sn
0.3259 0.3218 0.6894 Sn
0.3289 0.3222 0.1888 Sn
0.3371 0.3183 0.9860 Sn
0.3383 0.3218 0.4868 Sn
0.6641 0.6630 0.8195 Sn
0.6653 0.6564 0.3206 Sn
0.6660 0.6548 0.0233 Sn
0.0006 0.6948 0.7570 P
0.0026 0.2790 0.2560 P
0.0387 0.3229 0.5869 P
0.0390 0.6178 0.0865 P
0.2895 0.6988 0.2561 P
0.2935 0.9881 0.7558 P
0.3333 0.0279 0.0877 P
0.3334 0.6151 0.5876 P
0.3749 0.6558 0.9212 P
0.6284 0.0259 0.5892 P
0.6292 0.3206 0.0886 P
0.6669 0.9520 0.9211 P
0.6698 0.3584 0.4232 P
0.7091 0.9864 0.2553 P
0.9578 0.3609 0.9212 P
0.3731 0.9488 0.4226 S
0.7081 0.2813 0.7548 S
0.9600 0.6561 0.4223 S
0.0178 0.1559 0.5937 O
0.0236 0.7759 0.8123 O
0.0238 0.8000 0.0922 O
0.0297 0.1693 0.3096 O
0.1182 0.3543 0.6428 O
0.1211 0.5018 0.1415 O
0.1383 0.4900 0.4257 O
0.1391 0.3571 0.9266 O
0.1483 0.5398 0.0294 O
0.1590 0.2823 0.5319 O
0.1643 0.7971 0.5924 O
0.1662 0.0119 0.0933 O
0.1660 0.3024 0.2486 O
0.1708 0.5107 0.7497 O
0.1794 0.7804 0.3096 O
0.1806 0.0176 0.8088 O
0.1908 0.8133 0.9161 O
0.1999 0.9645 0.4157 O
0.2189 0.8043 0.1976 O
0.2191 0.9591 0.6970 O
0.2937 0.5363 0.5328 O
0.2994 0.1413 0.0319 O
0.3180 0.1531 0.7500 O
0.3206 0.5065 0.2487 O
0.3543 0.1303 0.4258 O
0.3557 0.4874 0.9263 O
0.3677 0.1073 0.1431 O
0.3712 0.4951 0.6429 O
0.4569 0.6849 0.9770 O
0.4617 0.8432 0.4740 O
0.4803 0.8192 0.7583 O
0.4822 0.8787 0.3669 O
0.4828 0.6693 0.2597 O
0.4932 0.6156 0.8659 O
0.4942 0.3459 0.4246 O
0.4975 0.1336 0.9267 O
0.4985 0.6291 0.5815 O
0.5000 0.8447 0.0826 O
0.5151 0.1113 0.6449 O
0.5198 0.3522 0.1459 O
0.5239 0.1572 0.2477 O
0.5290 0.3003 0.7494 O
0.5457 0.2896 0.0339 O
0.5530 0.1507 0.5343 O
0.6267 0.8743 0.8660 O
0.6336 0.4713 0.3641 O
0.6444 0.4883 0.0834 O
0.6481 0.8474 0.5813 O
0.6847 0.4507 0.4773 O
0.6851 0.8226 0.2610 O
0.6888 0.4605 0.7585 O
0.7041 0.8322 0.9763 O
0.7882 0.0244 0.3078 O
0.7923 0.1723 0.8055 O
0.8083 0.2096 0.6979 O
0.8085 0.0232 0.5957 O
0.8127 0.1545 0.0934 O
0.8158 0.9528 0.1970 O
0.8310 0.1768 0.4164 O
0.8319 0.4667 0.2600 O
0.8323 0.9651 0.9143 O
0.8359 0.6692 0.7586 O
0.8476 0.4447 0.9777 O
0.8524 0.6771 0.4736 O
0.8555 0.4811 0.5806 O
0.8554 0.6341 0.0823 O
0.8795 0.4866 0.8667 O
0.8857 0.6239 0.3666 O
0.9591 0.2082 0.1988 O
0.9653 0.8069 0.6997 O
0.9767 0.1824 0.9148 O
0.9823 0.8099 0.4152 O
```

## Properties
* total energy: -730.30 eV per cell
* symmetry: P1 (1)



Question: total energy of number 1 (Na4Mg3SnP2S4O24)?
Answer: -704.52 eV per cell